# RbLi2O3 | the Materials Project | PBE | optimized geometry
data_RbLi2O3
_chemical_formula_sum 'Rb2 Li4 O6'
_cell_length_a 6.0702
_cell_length_b 5.7508
_cell_length_c 6.0880
_cell_angle_alpha 90.00
_cell_angle_beta 110.72
_cell_angle_gamma 90.00
_symmetry_space_group_name_H-M 'P 1 21/m 1'
_symmetry_Int_Tables_number 11
loop_
_symmetry_equiv_pos_as_xyz
'x,y,z'
'-x,-y,-z'
'-x,y+1/2,-z'
'x,-y+1/2,z'
loop_
_atom_site_label
_atom_site_fract_x
_atom_site_fract_y
_atom_site_fract_z
_atom_site_occupancy
Rb1 0.1555 0.2500 0.2784 1
Li1 0.3492 0.0067 0.8146 1
O1 0.1314 0.2500 0.7979 1
O2 0.3337 0.7500 0.6155 1
O3 0.4296 0.7500 0.0314 1
# Uncorrected energy in eV per atom: -4.12
# Energy relative to the elements in eV/atom: -1.189
# Magnetization in μB per cell: 6.00